Computed, not measured: crystalline SiO2 at its relaxed geometry at the GGA-PBE level of DFT.

Unit cell a=17.3689 b=17.3689 c=17.3689 alpha=60.00 beta=60.00 gamma=60.00
Fractional positions:
O (0.6795, 0.4634, 0.1785)
O (0.1785, 0.4634, 0.1785)
O (0.6410, 0.3524, 0.6410)
O (0.3590, 0.1344, 0.3590)
O (0.8656, 0.3524, 0.6410)
O (0.6410, 0.3524, 0.8656)
O (0.5366, 0.8215, 0.3205)
O (0.5354, 0.3124, 0.1168)
O (0.1785, 0.4634, 0.6795)
O (0.2864, 0.7136, 0.0000)
O (0.6410, 0.6410, 0.3524)
O (0.0000, 0.5000, 0.2864)
O (0.3205, 0.8215, 0.5366)
O (0.8215, 0.5366, 0.8215)
O (0.8832, 0.4646, 0.4646)
O (0.5000, 0.0000, 0.2864)
O (0.4634, 0.1785, 0.6795)
O (0.6410, 0.8656, 0.3524)
O (0.5354, 0.5354, 0.3124)
O (0.3590, 0.6476, 0.3590)
O (0.0000, 0.2864, 0.7136)
O (0.7136, 0.0000, 0.5000)
O (0.6795, 0.1785, 0.4634)
O (0.5354, 0.3124, 0.5354)
O (0.1168, 0.3124, 0.5354)
O (0.1168, 0.5354, 0.5354)
O (0.1344, 0.3590, 0.3590)
O (0.6876, 0.4646, 0.4646)
O (0.5000, 0.7136, 0.0000)
O (0.0000, 0.5000, 0.7136)
O (0.5354, 0.1168, 0.5354)
O (0.6476, 0.1344, 0.3590)
O (0.3524, 0.6410, 0.6410)
O (0.3590, 0.6476, 0.1344)
O (0.5354, 0.5354, 0.1168)
O (0.4634, 0.6795, 0.1785)
O (0.4646, 0.6876, 0.8832)
O (0.8215, 0.8215, 0.5366)
O (0.3524, 0.8656, 0.6410)
O (0.8656, 0.6410, 0.6410)
O (0.1344, 0.6476, 0.3590)
O (0.5000, 0.2864, 0.7136)
O (0.0000, 0.7136, 0.2864)
O (0.3590, 0.3590, 0.1344)
O (0.6476, 0.3590, 0.3590)
O (0.2864, 0.0000, 0.7136)
O (0.7136, 0.5000, 0.2864)
O (0.0000, 0.7136, 0.5000)
O (0.3205, 0.8215, 0.8215)
O (0.6795, 0.1785, 0.1785)
O (0.8215, 0.8215, 0.3205)
O (0.3524, 0.6410, 0.8656)
O (0.8215, 0.3205, 0.5366)
O (0.5000, 0.2864, 0.0000)
O (0.8832, 0.4646, 0.6876)
O (0.7136, 0.2864, 0.0000)
O (0.2864, 0.7136, 0.5000)
O (0.5366, 0.8215, 0.8215)
O (0.8656, 0.6410, 0.3524)
O (0.8215, 0.3205, 0.8215)
O (0.3124, 0.1168, 0.5354)
O (0.0000, 0.2864, 0.5000)
O (0.6410, 0.6410, 0.8656)
O (0.2864, 0.5000, 0.0000)
O (0.4646, 0.8832, 0.6876)
O (0.7136, 0.0000, 0.2864)
O (0.3124, 0.5354, 0.1168)
O (0.3590, 0.1344, 0.6476)
O (0.4646, 0.4646, 0.6876)
O (0.1785, 0.6795, 0.1785)
O (0.4646, 0.8832, 0.4646)
O (0.4646, 0.6876, 0.4646)
O (0.4634, 0.1785, 0.1785)
O (0.6476, 0.3590, 0.1344)
O (0.3590, 0.3590, 0.6476)
O (0.5000, 0.7136, 0.2864)
O (0.2864, 0.5000, 0.7136)
O (0.6410, 0.8656, 0.6410)
O (0.8215, 0.5366, 0.3205)
O (0.1785, 0.1785, 0.6795)
O (0.3205, 0.5366, 0.8215)
O (0.4646, 0.4646, 0.8832)
O (0.3124, 0.5354, 0.5354)
O (0.5000, 0.0000, 0.7136)
O (0.1785, 0.1785, 0.4634)
O (0.1344, 0.3590, 0.6476)
O (0.6876, 0.4646, 0.8832)
O (0.5354, 0.1168, 0.3124)
O (0.1785, 0.6795, 0.4634)
O (0.8832, 0.6876, 0.4646)
O (0.5366, 0.3205, 0.8215)
O (0.6876, 0.8832, 0.4646)
O (0.7136, 0.2864, 0.5000)
O (0.7136, 0.5000, 0.0000)
O (0.1168, 0.5354, 0.3124)
O (0.2864, 0.0000, 0.5000)
Si (0.2841, 0.1074, 0.6439)
Si (0.4645, 0.2841, 0.1074)
Si (0.6439, 0.1074, 0.2841)
Si (0.5355, 0.3561, 0.8926)
Si (0.7159, 0.5355, 0.8926)
Si (0.5355, 0.8926, 0.7159)
Si (0.6439, 0.2841, 0.1074)
Si (0.3561, 0.8926, 0.7159)
Si (0.3561, 0.5355, 0.7159)
Si (0.7159, 0.5355, 0.3561)
Si (0.1074, 0.6439, 0.4645)
Si (0.7159, 0.8926, 0.3561)
Si (0.5355, 0.7159, 0.8926)
Si (0.6439, 0.2841, 0.4645)
Si (0.8926, 0.3561, 0.7159)
Si (0.4645, 0.1074, 0.2841)
Si (0.1074, 0.6439, 0.2841)
Si (0.4645, 0.6439, 0.2841)
Si (0.8926, 0.5355, 0.7159)
Si (0.4645, 0.2841, 0.6439)
Si (0.2841, 0.4645, 0.6439)
Si (0.6439, 0.1074, 0.4645)
Si (0.8926, 0.7159, 0.3561)
Si (0.3561, 0.7159, 0.8926)
Si (0.8926, 0.3561, 0.5355)
Si (0.3561, 0.5355, 0.8926)
Si (0.7159, 0.3561, 0.8926)
Si (0.1074, 0.2841, 0.6439)
Si (0.6439, 0.4645, 0.2841)
Si (0.5355, 0.7159, 0.3561)
Si (0.5355, 0.8926, 0.3561)
Si (0.1074, 0.2841, 0.4645)
Si (0.4645, 0.1074, 0.6439)
Si (0.4645, 0.6439, 0.1074)
Si (0.1074, 0.4645, 0.2841)
Si (0.2841, 0.6439, 0.1074)
Si (0.8926, 0.7159, 0.5355)
Si (0.2841, 0.1074, 0.4645)
Si (0.2841, 0.6439, 0.4645)
Si (0.6439, 0.4645, 0.1074)
Si (0.5355, 0.3561, 0.7159)
Si (0.8926, 0.5355, 0.3561)
Si (0.3561, 0.8926, 0.5355)
Si (0.7159, 0.8926, 0.5355)
Si (0.3561, 0.7159, 0.5355)
Si (0.1074, 0.4645, 0.6439)
Si (0.2841, 0.4645, 0.1074)
Si (0.7159, 0.3561, 0.5355)

Output
DFT formation energy: -3251 meV/atom
Final energy: -7.9000 eV/atom

Computed, not measured: crystalline Na3InSi2GeSO12 at its relaxed geometry at the GGA-PBE level of DFT.

Unit cell a=9.0489 b=9.0489 c=22.2893 alpha=87.17 beta=92.83 gamma=119.25
Fractional positions:
In (0.9935, 0.9957, 0.8513)
In (0.3376, 0.6732, 0.0180)
In (0.6709, 0.3398, 0.6847)
In (0.0043, 0.0065, 0.3513)
In (0.3268, 0.6624, 0.5180)
In (0.6602, 0.3291, 0.1847)
O (0.1900, 0.9912, 0.9134)
O (0.1746, 0.2156, 0.6898)
O (0.3421, 0.4767, 0.0801)
O (0.8567, 0.3245, 0.2467)
O (0.8162, 0.9792, 0.4130)
O (0.5233, 0.6579, 0.5801)
O (0.1958, 0.7062, 0.7586)
O (0.7844, 0.8254, 0.1898)
O (0.7998, 0.0138, 0.8029)
O (0.5239, 0.8536, 0.0786)
O (0.1640, 0.4756, 0.2525)
O (0.8307, 0.8089, 0.5858)
O (0.3541, 0.8505, 0.5797)
O (0.8624, 0.0396, 0.0919)
O (0.3785, 0.5220, 0.3611)
O (0.1446, 0.9549, 0.1945)
O (0.4511, 0.1587, 0.5231)
O (0.1495, 0.6459, 0.0797)
O (0.2970, 0.4820, 0.7540)
O (0.8513, 0.3697, 0.9207)
O (0.2938, 0.8042, 0.2586)
O (0.0248, 0.2231, 0.1941)
O (0.3195, 0.8668, 0.9696)
O (0.4780, 0.6215, 0.8611)
O (0.0208, 0.1838, 0.9130)
O (0.5080, 0.8822, 0.3565)
O (0.5491, 0.6845, 0.9801)
O (0.0088, 0.8100, 0.4134)
O (0.1911, 0.1693, 0.0858)
O (0.4436, 0.3085, 0.0274)
O (0.6755, 0.1433, 0.7467)
O (0.1905, 0.1869, 0.4119)
O (0.1102, 0.6418, 0.3607)
O (0.8572, 0.5202, 0.7452)
O (0.9604, 0.1376, 0.5919)
O (0.7118, 0.1887, 0.0278)
O (0.8824, 0.3512, 0.6468)
O (0.8113, 0.2882, 0.5278)
O (0.8808, 0.5186, 0.1445)
O (0.9862, 0.2002, 0.3029)
O (0.5475, 0.8519, 0.4779)
O (0.4814, 0.1192, 0.6445)
O (0.3582, 0.8898, 0.8607)
O (0.8413, 0.5489, 0.0231)
O (0.7769, 0.9752, 0.6941)
O (0.1846, 0.0363, 0.5874)
O (0.5291, 0.3729, 0.4253)
O (0.9637, 0.8154, 0.0874)
O (0.0451, 0.8554, 0.6945)
O (0.6915, 0.5564, 0.5274)
O (0.8148, 0.7858, 0.3112)
O (0.1178, 0.4920, 0.8565)
O (0.3155, 0.4509, 0.4801)
O (0.1332, 0.6805, 0.4696)
O (0.5244, 0.8360, 0.7525)
O (0.1481, 0.4525, 0.9779)
O (0.5180, 0.7030, 0.2540)
O (0.2157, 0.0179, 0.3135)
O (0.8131, 0.8095, 0.9119)
O (0.6271, 0.4709, 0.9253)
O (0.4665, 0.3472, 0.1363)
O (0.1464, 0.4761, 0.5786)
O (0.6303, 0.1487, 0.4207)
O (0.4798, 0.1428, 0.2452)
O (0.9821, 0.7843, 0.8135)
O (0.6488, 0.1176, 0.1468)
O (0.8578, 0.5026, 0.4192)
O (0.6528, 0.5335, 0.6363)
O (0.2142, 0.1852, 0.8112)
O (0.4828, 0.3125, 0.7464)
O (0.6875, 0.5172, 0.2464)
O (0.4974, 0.1422, 0.9192)
Si (0.0364, 0.3681, 0.9183)
Si (0.0078, 0.7133, 0.7528)
Si (0.6744, 0.0466, 0.0861)
Si (0.7031, 0.7015, 0.2517)
Si (0.6319, 0.9636, 0.4183)
Si (0.9534, 0.3256, 0.5861)
Si (0.3411, 0.3799, 0.4194)
Si (0.6201, 0.6589, 0.9194)
Si (0.3698, 0.0348, 0.5850)
Si (0.2867, 0.9922, 0.2528)
Si (0.2985, 0.2969, 0.7517)
Si (0.9652, 0.6302, 0.0850)
Na (0.3349, 0.6843, 0.1646)
Na (0.3157, 0.6651, 0.6646)
Na (0.3674, 0.0040, 0.7494)
Na (0.3294, 0.2993, 0.9161)
Na (0.6627, 0.9659, 0.5828)
Na (0.6612, 0.6925, 0.0767)
Na (0.9823, 0.9984, 0.9980)
Na (0.9960, 0.6326, 0.2494)
Na (0.9742, 0.6722, 0.9100)
Na (0.0016, 0.0177, 0.4980)
Na (0.6490, 0.3318, 0.3313)
Na (0.9945, 0.3592, 0.7434)
Na (0.3278, 0.0258, 0.4100)
Na (0.6682, 0.3510, 0.8313)
Na (0.6408, 0.0055, 0.2434)
Na (0.0341, 0.3373, 0.0828)
Na (0.3075, 0.3388, 0.5767)
Na (0.7007, 0.6706, 0.4161)
Ge (0.3065, 0.6202, 0.8132)
Ge (0.3798, 0.6935, 0.3132)
Ge (0.7131, 0.3602, 0.9798)
Ge (0.9732, 0.9536, 0.1465)
Ge (0.0464, 0.0268, 0.6465)
Ge (0.6398, 0.2869, 0.4798)
S (0.0287, 0.6539, 0.4143)
S (0.6794, 0.6380, 0.5809)
S (0.6954, 0.9873, 0.7476)
S (0.3620, 0.3206, 0.0809)
S (0.0127, 0.3046, 0.2476)
S (0.3461, 0.9713, 0.9143)

Output
DFT formation energy: -2348 meV/atom
Final energy: -6.2213 eV/atom

Computed, not measured: crystalline Sm3Ni7B2 at its relaxed geometry at the GGA-PBE level of DFT.

Unit cell a=5.1599 b=5.1599 c=14.4183 alpha=90.00 beta=90.00 gamma=120.00
Fractional positions:
Ni (0.1652, 0.8348, 0.3489)
Ni (0.0000, 0.0000, 0.0000)
Ni (0.8348, 0.6696, 0.6511)
Ni (0.6696, 0.8348, 0.1511)
Ni (0.8348, 0.1652, 0.8489)
Ni (0.8348, 0.1652, 0.6511)
Ni (0.0000, 0.0000, 0.5000)
Ni (0.3304, 0.1652, 0.6511)
Ni (0.1652, 0.3304, 0.1511)
Ni (0.6696, 0.8348, 0.3489)
Ni (0.1652, 0.8348, 0.1511)
Ni (0.8348, 0.6696, 0.8489)
Ni (0.3304, 0.1652, 0.8489)
Ni (0.1652, 0.3304, 0.3489)
Sm (0.6667, 0.3333, 0.2500)
Sm (0.3333, 0.6667, 0.7500)
Sm (0.3333, 0.6667, 0.9687)
Sm (0.6667, 0.3333, 0.0313)
Sm (0.3333, 0.6667, 0.5313)
Sm (0.6667, 0.3333, 0.4687)
B (0.6667, 0.3333, 0.7500)
B (0.0000, 0.0000, 0.7500)
B (0.3333, 0.6667, 0.2500)
B (0.0000, 0.0000, 0.2500)

Output
DFT formation energy: -439 meV/atom
Final energy: -6.1039 eV/atom

Computed, not measured: crystalline TiCrCuS4 at its relaxed geometry at the GGA-PBE level of DFT.

Unit cell a=6.2873 b=7.2386 c=12.1898 alpha=81.52 beta=84.97 gamma=89.95
Fractional positions:
Cu (0.1280, 0.1994, 0.7013)
Cu (0.8720, 0.8006, 0.2987)
Cu (0.2535, 0.3747, 0.9980)
Cu (0.7465, 0.6253, 0.0020)
Cr (0.3680, 0.5568, 0.2952)
Cr (0.3670, 0.0451, 0.2987)
Cr (0.6330, 0.9549, 0.7013)
Cr (0.6320, 0.4432, 0.7048)
S (0.1054, 0.6520, 0.8905)
S (0.1000, 0.1500, 0.8918)
S (0.6055, 0.3985, 0.8893)
S (0.5954, 0.9052, 0.8906)
S (0.3945, 0.6015, 0.1107)
S (0.3141, 0.9711, 0.6275)
S (0.9000, 0.8500, 0.1082)
S (0.1929, 0.2854, 0.3696)
S (0.3161, 0.4625, 0.6316)
S (0.8946, 0.3480, 0.1095)
S (0.6839, 0.5375, 0.3684)
S (0.8071, 0.7146, 0.6304)
S (0.4046, 0.0948, 0.1094)
S (0.1929, 0.7805, 0.3679)
S (0.6859, 0.0289, 0.3725)
S (0.8071, 0.2195, 0.6321)
Ti (0.7627, 0.1151, 0.9993)
Ti (0.8610, 0.2981, 0.2986)
Ti (0.1390, 0.7019, 0.7014)
Ti (0.2373, 0.8849, 0.0007)

Output
DFT formation energy: -951 meV/atom
Final energy: -6.1201 eV/atom
Polymorph energy (0 for the lowest one): 0.236 eV/atom